(1)
{
  "formula": "Li10SnP2S12",
  "functional": "PBE",
  "state": "relaxed",
  "space_group": "P1, No. 1",
  "lattice_angstrom": [[8.665, 0.000, 0.000], [-0.012, 8.950, 0.000], [-0.140, -0.459, 13.133]],
  "species": ["Li", "Li", "Li", "Li", "Li", "Li", "Li", "Li", "Li", "Li", "Li", "Li", "Li", "Li", "Li", "Li", "Li", "Li", "Li", "Li", "Sn", "Sn", "P", "P", "P", "P", "S", "S", "S", "S", "S", "S", "S", "S", "S", "S", "S", "S", "S", "S", "S", "S", "S", "S", "S", "S", "S", "S", "S", "S"],
  "frac_coords": [[0.000, 0.000, 0.000], [0.001, 0.531, 0.886], [0.010, 0.986, 0.283], [0.014, 0.493, 0.118], [0.015, 0.534, 0.639], [0.032, 0.060, 0.791], [0.231, 0.288, 0.384], [0.266, 0.769, 0.685], [0.281, 0.737, 0.181], [0.506, 0.031, 0.491], [0.510, 0.034, 0.764], [0.512, 0.521, 0.916], [0.518, 0.534, 0.642], [0.523, 0.992, 0.985], [0.535, 0.500, 0.322], [0.554, 0.988, 0.259], [0.733, 0.290, 0.061], [0.759, 0.290, 0.583], [0.984, 0.589, 0.386], [0.990, 0.032, 0.553], [0.280, 0.762, 0.448], [0.766, 0.263, 0.817], [0.258, 0.782, 0.944], [0.262, 0.288, 0.626], [0.763, 0.738, 0.135], [0.778, 0.256, 0.317], [0.042, 0.761, 0.544], [0.064, 0.804, 0.853], [0.067, 0.303, 0.535], [0.254, 0.575, 0.008], [0.257, 0.084, 0.692], [0.260, 0.553, 0.328], [0.265, 0.467, 0.729], [0.265, 0.949, 0.055], [0.289, 0.987, 0.349], [0.453, 0.303, 0.534], [0.454, 0.789, 0.855], [0.496, 0.775, 0.563], [0.535, 0.238, 0.913], [0.572, 0.719, 0.223], [0.587, 0.264, 0.223], [0.758, 0.948, 0.077], [0.763, 0.434, 0.420], [0.771, 0.496, 0.731], [0.773, 0.056, 0.393], [0.775, 0.567, 0.024], [0.777, 0.058, 0.692], [0.964, 0.721, 0.221], [0.980, 0.259, 0.235], [0.984, 0.251, 0.931]]
}

(2)
{
  "formula": "Li10SnP2S12",
  "functional": "PBE",
  "state": "relaxed",
  "space_group": "P4_2mc, No. 105",
  "lattice_angstrom": [[8.854, 0.000, 0.000], [0.000, 8.854, 0.000], [0.000, 0.000, 12.851]],
  "species": ["Li", "Li", "Li", "Li", "Li", "Li", "Li", "Li", "Li", "Li", "Li", "Li", "Li", "Li", "Li", "Li", "Li", "Li", "Li", "Li", "Sn", "Sn", "P", "P", "P", "P", "S", "S", "S", "S", "S", "S", "S", "S", "S", "S", "S", "S", "S", "S", "S", "S", "S", "S", "S", "S", "S", "S", "S", "S"],
  "frac_coords": [[0.000, 0.000, 0.000], [0.000, 0.000, 0.500], [0.225, 0.245, 0.489], [0.225, 0.755, 0.489], [0.228, 0.274, 0.746], [0.228, 0.726, 0.746], [0.245, 0.225, 0.989], [0.245, 0.775, 0.989], [0.274, 0.228, 0.246], [0.274, 0.772, 0.246], [0.500, 0.500, 0.391], [0.500, 0.500, 0.891], [0.726, 0.228, 0.246], [0.726, 0.772, 0.246], [0.755, 0.225, 0.989], [0.755, 0.775, 0.989], [0.772, 0.274, 0.746], [0.772, 0.726, 0.746], [0.775, 0.245, 0.489], [0.775, 0.755, 0.489], [0.000, 0.000, 0.253], [0.000, 0.000, 0.753], [0.000, 0.500, 0.955], [0.500, 0.000, 0.455], [0.500, 0.500, 0.137], [0.500, 0.500, 0.637], [0.000, 0.221, 0.644], [0.000, 0.223, 0.361], [0.000, 0.311, 0.047], [0.000, 0.689, 0.047], [0.000, 0.777, 0.361], [0.000, 0.779, 0.644], [0.193, 0.500, 0.864], [0.221, 0.000, 0.144], [0.223, 0.000, 0.861], [0.307, 0.500, 0.546], [0.310, 0.500, 0.228], [0.311, 0.000, 0.547], [0.500, 0.193, 0.364], [0.500, 0.307, 0.046], [0.500, 0.310, 0.728], [0.500, 0.690, 0.728], [0.500, 0.693, 0.046], [0.500, 0.807, 0.364], [0.689, 0.000, 0.547], [0.690, 0.500, 0.228], [0.693, 0.500, 0.546], [0.777, 0.000, 0.861], [0.779, 0.000, 0.144], [0.807, 0.500, 0.864]]
}

(3)
{
  "formula": "Li4ZnP2S8",
  "functional": "PBE",
  "state": "relaxed",
  "space_group": "P2_1, No. 4",
  "lattice_angstrom": [[5.763, 0.000, 0.000], [0.000, 9.465, 0.000], [-0.006, 0.000, 11.494]],
  "species": ["Li", "Li", "Li", "Li", "Li", "Li", "Li", "Li", "Zn", "Zn", "P", "P", "P", "P", "S", "S", "S", "S", "S", "S", "S", "S", "S", "S", "S", "S", "S", "S", "S", "S"],
  "frac_coords": [[0.245, 0.000, 0.375], [0.250, 0.998, 0.875], [0.253, 0.506, 0.872], [0.253, 0.751, 0.117], [0.747, 0.006, 0.128], [0.747, 0.251, 0.883], [0.750, 0.498, 0.125], [0.755, 0.500, 0.625], [0.252, 0.490, 0.376], [0.748, 0.990, 0.624], [0.239, 0.250, 0.124], [0.261, 0.246, 0.625], [0.739, 0.746, 0.375], [0.761, 0.750, 0.876], [0.031, 0.128, 0.728], [0.037, 0.134, 0.230], [0.037, 0.374, 0.015], [0.046, 0.359, 0.516], [0.456, 0.371, 0.229], [0.460, 0.133, 0.019], [0.464, 0.364, 0.734], [0.472, 0.126, 0.520], [0.528, 0.626, 0.480], [0.536, 0.864, 0.266], [0.540, 0.633, 0.981], [0.544, 0.871, 0.771], [0.954, 0.859, 0.484], [0.963, 0.634, 0.770], [0.963, 0.874, 0.985], [0.969, 0.628, 0.272]]
}

(4)
{
  "formula": "Li4ZnP2S8",
  "functional": "PBE",
  "state": "relaxed",
  "space_group": "Pc, No. 7",
  "lattice_angstrom": [[10.065, 0.000, 0.000], [0.000, 25.598, 0.000], [-2.643, 0.000, 9.826]],
  "species": ["Li", "Li", "Li", "Li", "Li", "Li", "Li", "Li", "Li", "Li", "Li", "Li", "Li", "Li", "Li", "Li", "Li", "Li", "Li", "Li", "Li", "Li", "Li", "Li", "Li", "Li", "Li", "Li", "Li", "Li", "Li", "Li", "Zn", "Zn", "Zn", "Zn", "Zn", "Zn", "Zn", "Zn", "P", "P", "P", "P", "P", "P", "P", "P", "P", "P", "P", "P", "P", "P", "P", "P", "S", "S", "S", "S", "S", "S", "S", "S", "S", "S", "S", "S", "S", "S", "S", "S", "S", "S", "S", "S", "S", "S", "S", "S", "S", "S", "S", "S", "S", "S", "S", "S", "S", "S", "S", "S", "S", "S", "S", "S", "S", "S", "S", "S", "S", "S", "S", "S", "S", "S", "S", "S", "S", "S", "S", "S", "S", "S", "S", "S", "S", "S", "S", "S"],
  "frac_coords": [[0.000, 0.045, 0.500], [0.000, 0.955, 0.000], [0.127, 0.410, 0.373], [0.127, 0.590, 0.873], [0.133, 0.339, 0.874], [0.133, 0.661, 0.374], [0.134, 0.164, 0.376], [0.134, 0.836, 0.876], [0.247, 0.452, 0.742], [0.247, 0.548, 0.242], [0.259, 0.200, 0.745], [0.259, 0.800, 0.245], [0.260, 0.299, 0.236], [0.260, 0.701, 0.736], [0.489, 0.052, 0.982], [0.489, 0.948, 0.482], [0.501, 0.203, 0.498], [0.501, 0.797, 0.998], [0.505, 0.299, 0.994], [0.505, 0.701, 0.494], [0.635, 0.085, 0.376], [0.635, 0.915, 0.876], [0.748, 0.449, 0.237], [0.748, 0.551, 0.737], [0.753, 0.053, 0.743], [0.753, 0.947, 0.243], [0.982, 0.454, 0.992], [0.982, 0.546, 0.492], [0.989, 0.299, 0.485], [0.989, 0.701, 0.985], [0.990, 0.198, 0.984], [0.990, 0.802, 0.484], [0.247, 0.046, 0.228], [0.247, 0.954, 0.728], [0.497, 0.451, 0.494], [0.497, 0.549, 0.994], [0.746, 0.204, 0.228], [0.746, 0.796, 0.728], [0.748, 0.298, 0.733], [0.748, 0.702, 0.233], [0.368, 0.171, 0.120], [0.368, 0.829, 0.620], [0.371, 0.422, 0.117], [0.371, 0.578, 0.617], [0.374, 0.330, 0.617], [0.374, 0.670, 0.117], [0.379, 0.077, 0.604], [0.379, 0.923, 0.104], [0.865, 0.422, 0.615], [0.865, 0.578, 0.115], [0.867, 0.079, 0.122], [0.867, 0.921, 0.622], [0.880, 0.173, 0.606], [0.880, 0.327, 0.102], [0.880, 0.673, 0.602], [0.880, 0.827, 0.106], [0.030, 0.454, 0.558], [0.030, 0.546, 0.058], [0.033, 0.048, 0.062], [0.033, 0.952, 0.562], [0.042, 0.209, 0.557], [0.042, 0.290, 0.054], [0.042, 0.710, 0.554], [0.042, 0.791, 0.057], [0.199, 0.428, 0.955], [0.199, 0.572, 0.455], [0.205, 0.073, 0.435], [0.205, 0.927, 0.935], [0.208, 0.171, 0.953], [0.208, 0.829, 0.453], [0.209, 0.323, 0.447], [0.209, 0.677, 0.947], [0.316, 0.042, 0.761], [0.316, 0.958, 0.261], [0.318, 0.456, 0.284], [0.318, 0.544, 0.784], [0.322, 0.207, 0.283], [0.322, 0.793, 0.783], [0.323, 0.296, 0.779], [0.323, 0.704, 0.279], [0.427, 0.407, 0.669], [0.427, 0.593, 0.169], [0.429, 0.093, 0.176], [0.429, 0.907, 0.676], [0.432, 0.151, 0.665], [0.432, 0.849, 0.165], [0.435, 0.348, 0.169], [0.435, 0.652, 0.669], [0.531, 0.460, 0.064], [0.531, 0.540, 0.564], [0.533, 0.204, 0.063], [0.533, 0.796, 0.563], [0.537, 0.296, 0.561], [0.537, 0.704, 0.061], [0.540, 0.039, 0.555], [0.540, 0.961, 0.055], [0.697, 0.418, 0.446], [0.697, 0.582, 0.946], [0.706, 0.176, 0.436], [0.706, 0.824, 0.936], [0.708, 0.080, 0.955], [0.708, 0.920, 0.455], [0.710, 0.329, 0.936], [0.710, 0.671, 0.436], [0.815, 0.458, 0.771], [0.815, 0.542, 0.271], [0.817, 0.208, 0.762], [0.817, 0.792, 0.262], [0.819, 0.292, 0.262], [0.819, 0.708, 0.762], [0.822, 0.042, 0.283], [0.822, 0.958, 0.783], [0.926, 0.344, 0.670], [0.926, 0.656, 0.170], [0.927, 0.157, 0.178], [0.927, 0.843, 0.678], [0.930, 0.099, 0.666], [0.930, 0.901, 0.166], [0.931, 0.402, 0.170], [0.931, 0.598, 0.670]]
}

(5)
{
  "formula": "Li10ZnP4S16",
  "functional": "PBE",
  "state": "relaxed",
  "space_group": "Pc, No. 7",
  "lattice_angstrom": [[12.335, 0.000, 0.000], [0.000, 7.909, 0.000], [-12.330, 0.000, 12.988]],
  "species": ["Li", "Li", "Li", "Li", "Li", "Li", "Li", "Li", "Li", "Li", "Li", "Li", "Li", "Li", "Li", "Li", "Li", "Li", "Li", "Li", "Zn", "Zn", "P", "P", "P", "P", "P", "P", "P", "P", "S", "S", "S", "S", "S", "S", "S", "S", "S", "S", "S", "S", "S", "S", "S", "S", "S", "S", "S", "S", "S", "S", "S", "S", "S", "S", "S", "S", "S", "S", "S", "S"],
  "frac_coords": [[0.000, 0.229, 0.000], [0.000, 0.771, 0.500], [0.059, 0.257, 0.318], [0.059, 0.743, 0.818], [0.060, 0.264, 0.817], [0.060, 0.736, 0.317], [0.240, 0.487, 0.234], [0.240, 0.513, 0.734], [0.340, 0.012, 0.588], [0.340, 0.988, 0.088], [0.506, 0.254, 0.510], [0.506, 0.746, 0.010], [0.568, 0.261, 0.317], [0.568, 0.739, 0.817], [0.573, 0.258, 0.818], [0.573, 0.742, 0.318], [0.842, 0.009, 0.590], [0.842, 0.991, 0.090], [0.997, 0.259, 0.501], [0.997, 0.741, 0.001], [0.509, 0.249, 0.011], [0.509, 0.751, 0.511], [0.253, 0.003, 0.758], [0.253, 0.997, 0.258], [0.323, 0.499, 0.075], [0.323, 0.501, 0.575], [0.753, 0.007, 0.257], [0.753, 0.993, 0.757], [0.820, 0.489, 0.072], [0.820, 0.511, 0.572], [0.027, 0.494, 0.220], [0.027, 0.506, 0.720], [0.093, 0.003, 0.765], [0.093, 0.997, 0.265], [0.144, 0.485, 0.062], [0.144, 0.515, 0.562], [0.158, 0.016, 0.609], [0.158, 0.984, 0.109], [0.297, 0.290, 0.497], [0.297, 0.710, 0.997], [0.304, 0.279, 0.999], [0.304, 0.721, 0.499], [0.382, 0.209, 0.329], [0.382, 0.791, 0.829], [0.385, 0.222, 0.832], [0.385, 0.778, 0.332], [0.526, 0.499, 0.719], [0.526, 0.501, 0.219], [0.587, 0.003, 0.259], [0.587, 0.997, 0.759], [0.650, 0.002, 0.101], [0.650, 0.998, 0.601], [0.657, 0.492, 0.078], [0.657, 0.508, 0.578], [0.797, 0.294, 0.499], [0.797, 0.706, 0.999], [0.802, 0.273, 0.000], [0.802, 0.727, 0.500], [0.867, 0.226, 0.321], [0.867, 0.774, 0.821], [0.868, 0.212, 0.819], [0.868, 0.788, 0.319]]
}

(6)
{
  "formula": "Li4ZnP2S8",
  "functional": "PBE",
  "state": "relaxed",
  "space_group": "P1, No. 1",
  "lattice_angstrom": [[6.377, 0.000, 0.000], [-0.032, 8.004, 0.000], [-0.070, -0.006, 18.428]],
  "species": ["Li", "Li", "Li", "Li", "Li", "Li", "Li", "Li", "Li", "Li", "Li", "Li", "Zn", "Zn", "Zn", "P", "P", "P", "P", "P", "P", "S", "S", "S", "S", "S", "S", "S", "S", "S", "S", "S", "S", "S", "S", "S", "S", "S", "S", "S", "S", "S", "S", "S", "S"],
  "frac_coords": [[0.000, 0.000, 0.000], [0.000, 0.476, 0.339], [0.375, 0.495, 0.167], [0.380, 0.978, 0.170], [0.382, 0.492, 0.837], [0.384, 0.977, 0.503], [0.542, 0.734, 0.675], [0.545, 0.740, 0.006], [0.831, 0.247, 0.176], [0.989, 0.012, 0.667], [0.993, 0.482, 0.666], [0.996, 0.484, 0.000], [0.384, 0.999, 0.833], [0.388, 0.480, 0.501], [0.993, 0.982, 0.337], [0.500, 0.227, 0.336], [0.511, 0.234, 0.001], [0.515, 0.250, 0.670], [0.862, 0.735, 0.170], [0.889, 0.735, 0.500], [0.891, 0.749, 0.832], [0.011, 0.955, 0.208], [0.012, 0.535, 0.870], [0.013, 0.950, 0.536], [0.016, 0.526, 0.207], [0.025, 0.514, 0.533], [0.025, 0.970, 0.868], [0.355, 0.012, 0.372], [0.356, 0.458, 0.705], [0.362, 0.029, 0.704], [0.364, 0.022, 0.037], [0.364, 0.450, 0.035], [0.378, 0.450, 0.373], [0.475, 0.237, 0.225], [0.509, 0.236, 0.558], [0.528, 0.237, 0.889], [0.565, 0.735, 0.206], [0.575, 0.755, 0.868], [0.577, 0.722, 0.539], [0.805, 0.248, 0.713], [0.806, 0.221, 0.374], [0.812, 0.239, 0.042], [0.869, 0.733, 0.388], [0.897, 0.742, 0.058], [0.899, 0.749, 0.720]]
}

(7)
{
  "formula": "Li4ZnP2S8",
  "functional": "PBE",
  "state": "relaxed",
  "space_group": "P1, No. 1",
  "lattice_angstrom": [[5.747, 0.000, 0.000], [-0.004, 9.547, 0.000], [-0.022, -0.016, 11.529]],
  "species": ["Li", "Li", "Li", "Li", "Li", "Li", "Li", "Li", "Zn", "Zn", "P", "P", "P", "P", "S", "S", "S", "S", "S", "S", "S", "S", "S", "S", "S", "S", "S", "S", "S", "S"],
  "frac_coords": [[0.000, 0.000, 0.000], [0.002, 0.262, 0.247], [0.004, 0.240, 0.743], [0.006, 0.742, 0.248], [0.498, 0.744, 0.996], [0.499, 0.498, 0.738], [0.504, 0.757, 0.491], [0.996, 0.756, 0.743], [0.498, 0.243, 0.493], [0.505, 0.256, 0.996], [0.006, 0.501, 0.989], [0.501, 0.999, 0.748], [0.503, 0.001, 0.242], [0.997, 0.498, 0.499], [0.207, 0.608, 0.394], [0.213, 0.615, 0.879], [0.217, 0.372, 0.603], [0.219, 0.382, 0.095], [0.285, 0.885, 0.138], [0.289, 0.121, 0.348], [0.290, 0.122, 0.858], [0.290, 0.885, 0.645], [0.706, 0.120, 0.640], [0.716, 0.127, 0.134], [0.717, 0.885, 0.855], [0.720, 0.890, 0.343], [0.780, 0.378, 0.396], [0.786, 0.376, 0.883], [0.787, 0.615, 0.607], [0.802, 0.615, 0.095]]
}

| no. | corrected total energy (MP2020 scheme) (eV/atom) | energy relative to the lowest polymorph listed for this composition (kJ per mole of atoms) |
| --- | --- | --- |
| 1 | -4.53 | 0.0 |
| 2 | -4.52 | 1.1 |
| 3 | -4.58 | 0.2 |
| 4 | -4.58 | 0.1 |
| 5 | -4.61 | 0.2 |
| 6 | -4.58 | 0.2 |
| 7 | -4.58 | 0.2 |